No. 1
The following is a DFT calculation (PBE with a Hubbard U) of crystalline Co2O3F at its relaxed geometry.

Formation enthalpy at 0 K in meV/atom: -1254
V in A^3/atom: 9.39

Lattice parameters (Å, degrees): 4.365 4.365 5.916 90.00 90.00 92.44
Fractional positions:
Co (0.000, 0.000, 0.000)
Co (0.000, 0.000, 0.500)
Co (0.525, 0.475, 0.250)
Co (0.475, 0.525, 0.750)
O (0.191, 0.809, 0.750)
O (0.306, 0.306, 0.000)
O (0.306, 0.306, 0.500)
O (0.694, 0.694, 0.000)
O (0.694, 0.694, 0.500)
O (0.809, 0.191, 0.250)
F (0.220, 0.780, 0.250)
F (0.780, 0.220, 0.750)

***

No. 2
The following is a DFT calculation (PBE with a Hubbard U) of crystalline Co6O5F7 at its relaxed geometry.

Formation enthalpy at 0 K in meV/atom: -1691
V in A^3/atom: 10.92

Lattice parameters (Å, degrees): 5.579 5.579 7.181 71.98 71.98 72.27
Fractional positions:
Co (0.300, 0.300, 0.180)
Co (0.352, 0.352, 0.691)
Co (0.664, 0.664, 0.329)
Co (0.672, 0.672, 0.839)
Co (0.022, 0.022, 0.481)
Co (0.994, 0.994, 0.000)
O (0.952, 0.380, 0.327)
O (0.771, 0.771, 0.042)
O (0.577, 0.577, 0.617)
O (0.213, 0.213, 0.968)
O (0.380, 0.952, 0.327)
F (0.649, 0.041, 0.661)
F (0.425, 0.425, 0.371)
F (0.106, 0.106, 0.699)
F (0.904, 0.904, 0.297)
F (0.041, 0.649, 0.661)
F (0.682, 0.294, 0.005)
F (0.294, 0.682, 0.005)

***

No. 3
The following is a DFT calculation (PBE with a Hubbard U) of crystalline Co3OF5 at its relaxed geometry.

Formation enthalpy at 0 K in meV/atom: -2000
V in A^3/atom: 11.59

Lattice parameters (Å, degrees): 4.700 5.669 7.846 87.07 88.36 88.27
Fractional positions:
Co (0.466, 0.342, 0.692)
Co (0.500, 0.000, 0.000)
Co (0.534, 0.658, 0.308)
Co (0.000, 0.169, 0.337)
Co (0.000, 0.500, 0.000)
Co (0.000, 0.831, 0.663)
O (0.715, 0.691, 0.095)
O (0.285, 0.309, 0.905)
F (0.802, 0.206, 0.104)
F (0.805, 0.869, 0.432)
F (0.807, 0.534, 0.769)
F (0.688, 0.369, 0.443)
F (0.691, 0.042, 0.764)
F (0.309, 0.958, 0.236)
F (0.312, 0.631, 0.557)
F (0.198, 0.794, 0.896)
F (0.195, 0.131, 0.568)
F (0.193, 0.466, 0.231)

***

No. 4
The following is a DFT calculation (PBE with a Hubbard U) of crystalline Co3OF5 at its relaxed geometry.

Formation enthalpy at 0 K in meV/atom: -2061
V in A^3/atom: 11.85

Lattice parameters (Å, degrees): 5.683 5.683 7.376 73.07 73.07 74.11
Fractional positions:
Co (0.337, 0.337, 0.167)
Co (0.309, 0.309, 0.660)
Co (0.000, 0.000, 0.000)
Co (0.000, 0.000, 0.500)
Co (0.663, 0.663, 0.833)
Co (0.691, 0.691, 0.340)
O (0.898, 0.898, 0.304)
O (0.102, 0.102, 0.696)
F (0.631, 0.027, 0.664)
F (0.302, 0.698, 0.000)
F (0.239, 0.239, 0.958)
F (0.555, 0.555, 0.632)
F (0.445, 0.445, 0.368)
F (0.761, 0.761, 0.042)
F (0.027, 0.631, 0.664)
F (0.698, 0.302, 0.000)
F (0.369, 0.973, 0.336)
F (0.973, 0.369, 0.336)

***

No. 5
The following is a DFT calculation (PBE with a Hubbard U) of crystalline CoOF at its relaxed geometry.

Formation enthalpy at 0 K in meV/atom: -1566
V in A^3/atom: 10.18

Lattice parameters (Å, degrees): 4.480 4.480 6.086 90.00 90.00 90.00
Fractional positions:
Co (0.472, 0.472, 0.000)
Co (0.528, 0.528, 0.500)
Co (0.028, 0.972, 0.250)
Co (0.972, 0.028, 0.750)
O (0.680, 0.320, 0.750)
O (0.820, 0.820, 0.500)
O (0.180, 0.180, 0.000)
O (0.320, 0.680, 0.250)
F (0.722, 0.278, 0.250)
F (0.778, 0.778, 0.000)
F (0.222, 0.222, 0.500)
F (0.278, 0.722, 0.750)

***

No. 6
The following is a DFT calculation (PBE with a Hubbard U) of crystalline Co2O3F at its relaxed geometry.

Formation enthalpy at 0 K in meV/atom: -1288
V in A^3/atom: 10.04

Lattice parameters (Å, degrees): 4.541 4.541 14.655 90.00 90.00 94.85
Fractional positions:
Co (0.996, 0.004, 0.600)
Co (0.996, 0.004, 0.400)
Co (0.986, 0.014, 0.200)
Co (0.986, 0.014, 0.000)
Co (0.986, 0.014, 0.800)
Co (0.458, 0.542, 0.500)
Co (0.524, 0.476, 0.099)
Co (0.527, 0.473, 0.301)
Co (0.527, 0.473, 0.699)
Co (0.524, 0.476, 0.901)
O (0.809, 0.191, 0.094)
O (0.813, 0.187, 0.303)
O (0.809, 0.191, 0.906)
O (0.813, 0.187, 0.697)
O (0.303, 0.312, 0.601)
O (0.303, 0.312, 0.399)
O (0.304, 0.305, 0.000)
O (0.312, 0.302, 0.801)
O (0.312, 0.302, 0.199)
O (0.688, 0.697, 0.601)
O (0.688, 0.697, 0.399)
O (0.698, 0.688, 0.199)
O (0.695, 0.696, 0.000)
O (0.698, 0.688, 0.801)
O (0.176, 0.824, 0.500)
F (0.787, 0.213, 0.500)
F (0.188, 0.812, 0.095)
F (0.202, 0.798, 0.297)
F (0.202, 0.798, 0.703)
F (0.188, 0.812, 0.905)

***

No. 7
The following is a DFT calculation (PBE with a Hubbard U) of crystalline Co2O3F at its relaxed geometry.

Formation enthalpy at 0 K in meV/atom: -1274
V in A^3/atom: 9.50

Lattice parameters (Å, degrees): 4.402 5.910 9.251 108.60 90.87 90.12
Fractional positions:
Co (0.467, 0.629, 0.762)
Co (0.520, 0.119, 0.736)
Co (0.512, 0.384, 0.255)
Co (0.533, 0.864, 0.245)
Co (0.988, 0.503, 0.006)
Co (0.009, 0.748, 0.500)
Co (0.965, 0.997, 0.996)
Co (0.006, 0.253, 0.499)
O (0.803, 0.304, 0.103)
O (0.809, 0.047, 0.593)
O (0.801, 0.796, 0.100)
O (0.675, 0.924, 0.844)
O (0.703, 0.173, 0.347)
O (0.685, 0.422, 0.849)
O (0.704, 0.673, 0.347)
O (0.302, 0.827, 0.654)
O (0.303, 0.327, 0.654)
O (0.317, 0.578, 0.156)
O (0.202, 0.452, 0.403)
O (0.182, 0.702, 0.906)
F (0.783, 0.555, 0.610)
F (0.310, 0.076, 0.149)
F (0.222, 0.946, 0.391)
F (0.198, 0.200, 0.896)

***

No. 8
The following is a DFT calculation (PBE with a Hubbard U) of crystalline Co4OF11 at its relaxed geometry.

Formation enthalpy at 0 K in meV/atom: -1946
V in A^3/atom: 12.35

Lattice parameters (Å, degrees): 5.076 5.291 7.377 93.94 90.32 91.15
Fractional positions:
Co (0.511, 0.503, 0.998)
Co (0.994, 0.985, 0.995)
Co (0.500, 0.499, 0.499)
Co (0.000, 0.000, 0.498)
O (0.781, 0.703, 0.958)
F (0.693, 0.193, 0.941)
F (0.114, 0.996, 0.748)
F (0.686, 0.804, 0.559)
F (0.385, 0.500, 0.751)
F (0.811, 0.306, 0.557)
F (0.189, 0.694, 0.443)
F (0.620, 0.501, 0.249)
F (0.317, 0.194, 0.443)
F (0.888, 0.006, 0.253)
F (0.305, 0.805, 0.057)
F (0.204, 0.310, 0.051)

***

No. 9
The following is a DFT calculation (PBE with a Hubbard U) of crystalline Co3OF5 at its relaxed geometry.

Formation enthalpy at 0 K in meV/atom: -2072
V in A^3/atom: 11.65

Lattice parameters (Å, degrees): 4.732 5.675 7.833 86.21 88.70 88.04
Fractional positions:
Co (0.514, 0.498, 0.994)
Co (0.525, 0.814, 0.660)
Co (0.494, 0.165, 0.335)
Co (0.987, 0.666, 0.343)
Co (0.980, 0.341, 0.676)
Co (0.997, 0.015, 0.994)
O (0.798, 0.612, 0.580)
O (0.812, 0.307, 0.881)
F (0.805, 0.966, 0.233)
F (0.696, 0.464, 0.234)
F (0.689, 0.813, 0.898)
F (0.705, 0.114, 0.562)
F (0.307, 0.858, 0.436)
F (0.296, 0.549, 0.766)
F (0.305, 0.204, 0.102)
F (0.206, 0.047, 0.752)
F (0.194, 0.704, 0.103)
F (0.188, 0.361, 0.450)

***

No. 10
The following is a DFT calculation (PBE with a Hubbard U) of crystalline Co3OF5 at its relaxed geometry.

Formation enthalpy at 0 K in meV/atom: -2079
V in A^3/atom: 11.87

Lattice parameters (Å, degrees): 4.744 5.698 7.912 87.17 90.00 90.00
Fractional positions:
Co (0.515, 0.745, 0.986)
Co (0.516, 0.073, 0.671)
Co (0.470, 0.403, 0.330)
Co (0.016, 0.927, 0.329)
Co (0.970, 0.597, 0.670)
Co (0.015, 0.255, 0.014)
O (0.199, 0.218, 0.239)
O (0.699, 0.782, 0.761)
F (0.197, 0.876, 0.562)
F (0.196, 0.547, 0.896)
F (0.308, 0.712, 0.226)
F (0.299, 0.046, 0.897)
F (0.299, 0.385, 0.575)
F (0.697, 0.124, 0.438)
F (0.696, 0.453, 0.104)
F (0.808, 0.288, 0.774)
F (0.799, 0.954, 0.103)
F (0.799, 0.615, 0.425)

***

No. 11
The following is a DFT calculation (PBE with a Hubbard U) of crystalline Co2O3F at its relaxed geometry.

Formation enthalpy at 0 K in meV/atom: -1279
V in A^3/atom: 9.33

Lattice parameters (Å, degrees): 5.264 5.264 6.714 73.99 73.99 74.07
Fractional positions:
Co (0.667, 0.667, 0.835)
Co (0.642, 0.689, 0.334)
Co (0.311, 0.358, 0.666)
Co (0.333, 0.333, 0.165)
Co (0.014, 0.986, 0.500)
Co (0.027, 0.973, 0.000)
O (0.553, 0.578, 0.631)
O (0.904, 0.892, 0.295)
O (0.241, 0.227, 0.962)
O (0.422, 0.447, 0.369)
O (0.773, 0.759, 0.038)
O (0.108, 0.096, 0.705)
O (0.357, 0.974, 0.333)
O (0.026, 0.643, 0.667)
O (0.317, 0.683, 0.000)
F (0.945, 0.365, 0.344)
F (0.635, 0.055, 0.656)
F (0.726, 0.274, 0.000)

***

No. 12
The following is a DFT calculation (PBE with a Hubbard U) of crystalline Co3OF5 at its relaxed geometry.

Formation enthalpy at 0 K in meV/atom: -2080
V in A^3/atom: 11.61

Lattice parameters (Å, degrees): 5.642 5.642 7.264 74.25 74.25 73.92
Fractional positions:
Co (0.327, 0.327, 0.155)
Co (0.348, 0.348, 0.687)
Co (0.661, 0.661, 0.336)
Co (0.662, 0.662, 0.822)
Co (0.002, 0.002, 0.503)
Co (0.009, 0.009, 0.004)
O (0.559, 0.559, 0.630)
O (0.237, 0.237, 0.973)
F (0.639, 0.030, 0.669)
F (0.970, 0.360, 0.328)
F (0.422, 0.422, 0.359)
F (0.115, 0.115, 0.701)
F (0.768, 0.768, 0.032)
F (0.896, 0.896, 0.300)
F (0.030, 0.639, 0.669)
F (0.360, 0.970, 0.328)
F (0.694, 0.303, 0.002)
F (0.303, 0.694, 0.002)